# Li4Cr5WO12 (PBE+U, relaxed)
# Space-group type   C2/m
data_Li4Cr5WO12
_chemical_formula_sum 'Li4 Cr5 W1 O12'
_symmetry_space_group_name_H-M 'P 1'
_symmetry_Int_Tables_number 1
_symmetry_space_group_name_Hall 'P 1'
_cell_length_a 5.2667
_cell_length_b 5.2667
_cell_length_c 10.3597
_cell_angle_alpha 87.10
_cell_angle_beta 87.10
_cell_angle_gamma 120.70
loop_
_atom_site_label
_atom_site_fract_x
_atom_site_fract_y
_atom_site_fract_z
O1 0.6957 0.6957 0.9051
Cr1 0.5000 0.5000 0.5000
O2 0.6468 0.9848 0.1002
O3 0.4669 0.8120 0.6037
Li1 0.4603 0.1233 0.7092
Cr2 0.3333 0.6667 0.0000
O4 0.3532 0.0152 0.8998
Li2 0.5397 0.8767 0.2908
O5 0.1880 0.5331 0.3963
Li3 0.1233 0.4603 0.7092
Cr3 0.8364 0.1636 0.5000
O6 0.5331 0.1880 0.3963
O7 0.8439 0.8439 0.3954
O8 0.3043 0.3043 0.0949
Li4 0.8767 0.5397 0.2908
W1 0.0000 0.0000 0.0000
O9 0.9848 0.6468 0.1002
Cr4 0.6667 0.3333 0.0000
Cr5 0.1636 0.8364 0.5000
O10 0.0152 0.3532 0.8998
O11 0.1561 0.1561 0.6046
O12 0.8120 0.4669 0.6037

# MnP2H12C4O8 (PBE+U, relaxed)
# Space-group type   P-1
data_MnP2H12C4O8
_chemical_formula_sum 'Mn4 P8 H48 C16 O32'
_symmetry_space_group_name_H-M 'P 1'
_symmetry_Int_Tables_number 1
_symmetry_space_group_name_Hall 'P 1'
_cell_length_a 10.0517
_cell_length_b 10.6827
_cell_length_c 11.0017
_cell_angle_alpha 88.03
_cell_angle_beta 80.86
_cell_angle_gamma 87.20
loop_
_atom_site_label
_atom_site_fract_x
_atom_site_fract_y
_atom_site_fract_z
H1 0.4994 0.5992 0.4043
H2 0.5777 0.4512 0.7204
C1 0.1745 0.5287 0.5515
P1 0.1980 0.3908 0.1042
O1 0.8631 0.9573 0.9013
C2 0.1981 0.0213 0.5652
C3 0.4931 0.4010 0.6965
O2 0.6686 0.6932 0.9453
H3 0.0237 0.7264 0.3324
P2 0.2256 0.4090 0.7517
C4 0.4621 0.3358 0.0832
O3 0.7939 0.5909 0.3916
H4 0.4635 0.7288 0.9681
H5 0.7504 0.4026 0.4380
H6 0.4223 0.5488 0.2796
O4 0.0894 0.3184 0.0581
H7 0.4948 0.1228 0.8774
O5 0.8761 0.5007 0.1785
Mn1 0.1226 0.6494 0.9447
H8 0.4645 0.3220 0.1820
C5 0.8435 0.7369 0.6854
H9 0.2042 0.7181 0.3000
H10 0.5725 0.8012 0.5696
O6 0.1239 0.4993 0.8215
O7 0.1133 0.8979 0.2809
H11 0.8101 0.8962 0.3767
H12 0.2496 0.5974 0.5620
H13 0.9418 0.7695 0.6993
H14 0.6127 0.0701 0.7485
P3 0.2632 0.8893 0.7535
H15 0.3873 0.9299 0.2515
H16 0.8801 0.9730 0.4938
Mn2 0.8774 0.3506 0.0553
H17 0.5006 0.4008 0.5957
O8 0.8202 0.0929 0.3604
O9 0.1798 0.9071 0.6395
O10 0.2298 0.7624 0.8103
C6 0.5928 0.0744 0.8494
H18 0.2976 0.0171 0.5065
C7 0.5379 0.6642 0.9168
H19 0.4143 0.8118 0.5152
H20 0.5355 0.6780 0.8180
C8 0.5365 0.2061 0.4031
C9 0.4635 0.7939 0.5969
H21 0.9763 0.2736 0.6676
H22 0.7024 0.9829 0.4935
H23 0.1199 0.0270 0.5062
H24 0.7648 0.8078 0.7196
O11 0.9274 0.1865 0.9254
O12 0.2061 0.4091 0.6084
H25 0.4415 0.6990 0.6347
H26 0.1899 0.1038 0.6233
P4 0.8020 0.6092 0.8958
O13 0.4195 0.8874 0.6879
O14 0.1369 0.0427 0.0987
O15 0.7702 0.2376 0.1897
O16 0.6932 0.1463 0.8939
H27 0.7958 0.2819 0.7000
H28 0.4275 0.1988 0.4304
O17 0.7709 0.7275 0.2092
H29 0.5138 0.5675 0.9448
O18 0.8867 0.1021 0.7191
O19 0.2450 0.0021 0.8333
H30 0.4082 0.0212 0.1107
H31 0.5052 0.8772 0.1226
P5 0.7368 0.1107 0.2465
O20 0.7550 0.9979 0.1667
O21 0.5805 0.1126 0.3121
O22 0.1826 0.3833 0.2516
H32 0.5585 0.3010 0.3653
H33 0.8426 0.7216 0.5875
O23 0.3068 0.8537 0.1061
O24 0.2291 0.2725 0.7908
Mn3 0.8565 0.8478 0.0662
C10 0.8255 0.4713 0.4485
H34 0.4975 0.3039 0.7324
H35 0.8248 0.4881 0.5463
H36 0.9253 0.4349 0.4058
P6 0.1530 0.9061 0.1336
O25 0.0726 0.8135 0.0746
H37 0.5857 0.1882 0.4848
O26 0.9106 0.6816 0.9419
H38 0.5918 0.9788 0.8893
O27 0.7892 0.4724 0.9317
H39 0.5365 0.2712 0.0319
C11 0.8019 0.9787 0.4348
O28 0.6289 0.5327 0.2492
H40 0.8799 0.2098 0.5617
O29 0.2108 0.5276 0.0683
C12 0.1565 0.2631 0.3146
H41 0.1201 0.7902 0.4383
P7 0.8470 0.0939 0.8664
O30 0.8174 0.6167 0.7484
H42 0.5025 0.6961 0.2676
H43 0.1752 0.5119 0.4537
P8 0.7744 0.5910 0.2483
H44 0.4862 0.4325 0.0552
C13 0.1154 0.7749 0.3410
H45 0.2352 0.1922 0.2804
O31 0.3314 0.3068 0.0547
H46 0.0582 0.2305 0.3007
C14 0.8846 0.2251 0.6590
C15 0.5069 0.5990 0.3035
C16 0.4072 0.9256 0.1506
O32 0.3711 0.4673 0.7508
Mn4 0.1435 0.1522 0.9338
H47 0.0747 0.5651 0.5942
H48 0.1574 0.2784 0.4125

# Li5Fe5P6O24 (PBE+U, relaxed)
# Space-group type   P1
data_Li5Fe5P6O24
_chemical_formula_sum 'Li5 Fe5 P6 O24'
_symmetry_space_group_name_H-M 'P 1'
_symmetry_Int_Tables_number 1
_symmetry_space_group_name_Hall 'P 1'
_cell_length_a 8.4616
_cell_length_b 8.5826
_cell_length_c 8.5873
_cell_angle_alpha 61.74
_cell_angle_beta 62.29
_cell_angle_gamma 62.21
loop_
_atom_site_label
_atom_site_fract_x
_atom_site_fract_y
_atom_site_fract_z
Fe1 0.6471 0.6509 0.6550
O1 0.4373 0.2421 0.5892
O2 0.7478 0.4029 0.5777
O3 0.1867 0.3862 0.9955
O4 0.9568 0.0935 0.7280
Fe2 0.4913 0.5038 0.5001
O5 0.1096 0.3292 0.4669
O6 0.5265 0.1053 0.3302
O7 0.4889 0.8900 0.6959
P1 0.7528 0.4522 0.0528
Li1 0.8451 0.8400 0.8432
Li2 0.1938 0.8532 0.6702
O8 0.2495 0.5940 0.4233
Fe3 0.1458 0.1464 0.1412
O9 0.9617 0.1925 0.3881
Li3 0.6679 0.1902 0.8589
O10 0.6912 0.4913 0.8913
O11 0.0501 0.9145 0.2617
P2 0.4496 0.0521 0.7563
O12 0.0955 0.7320 0.9555
P3 0.2549 0.5408 0.9582
O13 0.5715 0.7593 0.4055
O14 0.5985 0.4206 0.2517
O15 0.2514 0.0667 0.9092
O16 0.0322 0.8108 0.6032
P4 0.9497 0.2529 0.5376
O17 0.4012 0.5756 0.7544
O18 0.3430 0.4845 0.1038
O19 0.6029 0.0253 0.8198
O20 0.8899 0.6863 0.4971
O21 0.7394 0.9493 0.0929
O22 0.8158 0.6029 0.0273
Fe4 0.3545 0.3577 0.3542
O23 0.9020 0.2504 0.0732
P5 0.5493 0.9615 0.2567
Fe5 0.0056 0.9992 0.9948
P6 0.0540 0.7506 0.4527
Li4 0.8572 0.6650 0.1912
Li5 0.7533 0.1398 0.3569
O24 0.3788 0.0151 0.2015

# HfV2O7 (PBE+U, relaxed)
# Space-group type   Pa-3
data_HfV2O7
_chemical_formula_sum 'Hf4 V8 O28'
_symmetry_space_group_name_H-M 'P 1'
_symmetry_Int_Tables_number 1
_symmetry_space_group_name_Hall 'P 1'
_cell_length_a 8.9886
_cell_length_b 8.9886
_cell_length_c 8.9886
_cell_angle_alpha 90.00
_cell_angle_beta 90.00
_cell_angle_gamma 90.00
loop_
_atom_site_label
_atom_site_fract_x
_atom_site_fract_y
_atom_site_fract_z
V1 0.6150 0.6150 0.6150
O1 0.7023 0.0907 0.5634
Hf1 0.0000 0.0000 0.0000
V2 0.8850 0.1150 0.6150
O2 0.2023 0.0907 0.9366
O3 0.2023 0.4093 0.4366
O4 0.0634 0.7977 0.9093
V3 0.1150 0.8850 0.3850
O5 0.0634 0.7023 0.4093
O6 0.9366 0.2023 0.0907
O7 0.5907 0.9366 0.2977
O8 0.7977 0.5907 0.5634
O9 0.9366 0.2977 0.5907
O10 0.0000 0.5000 0.0000
O11 0.7977 0.9093 0.0634
O12 0.2977 0.5907 0.9366
O13 0.0907 0.5634 0.7023
O14 0.4366 0.2977 0.9093
O15 0.5634 0.7023 0.0907
V4 0.3850 0.1150 0.8850
O16 0.5907 0.5634 0.7977
O17 0.4093 0.0634 0.7023
O18 0.0907 0.9366 0.2023
O19 0.5634 0.7977 0.5907
O20 0.5000 0.0000 0.0000
O21 0.0000 0.0000 0.5000
O22 0.7023 0.4093 0.0634
V5 0.8850 0.3850 0.1150
O23 0.9093 0.4366 0.2977
O24 0.9093 0.0634 0.7977
Hf2 0.5000 0.0000 0.5000
Hf3 0.0000 0.5000 0.5000
Hf4 0.5000 0.5000 0.0000
O25 0.4366 0.2023 0.4093
O26 0.2977 0.9093 0.4366
O27 0.4093 0.4366 0.2023
V6 0.1150 0.6150 0.8850
V7 0.6150 0.8850 0.1150
V8 0.3850 0.3850 0.3850
O28 0.5000 0.5000 0.5000

For each record above, in turn, the calculated energy with MP2020 corrections values are -0.5974, -0.4558, -0.5506, -0.6734 Ry per atom.
For each record above, in turn, the calculated energy relative to the elements values are -2.299, -1.120, -2.413, -2.886 eV/atom.